Entry 1:
A relaxed Na5MgSbO5 crystal, computed with PBE.

The value obtained for the energy relative to the lowest polymorph listed for this composition is 0.3931 eV per atom.

Unit cell a=6.0307 b=6.0307 c=6.7017 alpha=105.08 beta=105.08 gamma=47.21
Closest atoms and distances in Å follow each position.
Positions (direct):
Na 0.0000 0.0000 0.0000  4 O 2.33-2.45, 2 Mg 2.41
Na 0.2960 0.2960 0.1910  4 O 2.33-2.59
Na 0.3136 0.3136 0.6143  5 O 2.32-2.49
Na 0.6864 0.6864 0.3857  5 O 2.32-2.49
Na 0.7040 0.7040 0.8090  4 O 2.33-2.59
Mg 0.5000 0.5000 0.0000  2 Na 2.41
Sb 0.0000 0.0000 0.5000  4 O 2.02
O 0.1299 0.1299 0.3409  1 Sb 2.02
O 0.1387 0.1387 0.7720  1 Sb 2.02
O 0.5000 0.5000 0.5000  4 Na 2.39-2.59, 2 Sb 2.41
O 0.8613 0.8613 0.2280  1 Sb 2.02
O 0.8701 0.8701 0.6591  1 Sb 2.02

Entry 2:
A relaxed Cs2NaCaCl6 crystal, computed with PBE.

Unit cell a=7.7490 b=7.7490 c=7.7490 alpha=60.00 beta=60.00 gamma=60.00
Closest atoms and distances in Å follow each position.
Positions (direct):
Cs 0.2500 0.2500 0.2500  12 Cl 3.87
Cs 0.7500 0.7500 0.7500  12 Cl 3.87
Na 0.0000 0.0000 0.0000  6 Cl 2.76
Ca 0.5000 0.5000 0.5000  6 Cl 2.72
Cl 0.2522 0.2522 0.7478  1 Ca 2.72, 1 Na 2.76
Cl 0.2522 0.7478 0.2522  1 Ca 2.72, 1 Na 2.76
Cl 0.2522 0.7478 0.7478  1 Ca 2.72, 1 Na 2.76
Cl 0.7478 0.2522 0.2522  1 Ca 2.72, 1 Na 2.76
Cl 0.7478 0.2522 0.7478  1 Ca 2.72, 1 Na 2.76
Cl 0.7478 0.7478 0.2522  1 Ca 2.72, 1 Na 2.76

Entry 3:
A relaxed K9In9GeSb22 crystal, computed with PBE.

Unit cell a=11.5474 b=11.8648 c=13.6341 alpha=113.26 beta=114.16 gamma=90.81
Closest atoms and distances in Å follow each position.
Positions (direct):
K 0.0000 0.0000 0.0000  7 Sb 3.53-3.81, 1 K 3.77
K 0.0029 0.9760 0.3489  7 Sb 3.58-3.86
K 0.0075 0.9606 0.6690  6 Sb 3.58-3.94, 1 In 3.94
K 0.2518 0.3325 0.5504  6 Sb 3.60-3.95, 1 In 3.93
K 0.2557 0.3174 0.8711  7 Sb 3.55-3.85
K 0.2589 0.2942 0.2214  7 Sb 3.52-3.81, 1 K 3.77
K 0.5823 0.6421 0.2530  5 Sb 3.57-3.85
K 0.6293 0.6463 0.6094  4 Sb 3.56-3.69
K 0.6771 0.6525 0.9681  5 Sb 3.55-3.85
In 0.3692 0.8889 0.4425  4 Sb 2.90-2.95
In 0.3740 0.9324 0.7826  4 Sb 2.90-2.92
In 0.3802 0.8929 0.0822  4 Sb 2.88-2.95
In 0.5551 0.2155 0.7742  4 Sb 2.87-2.95
In 0.7038 0.0761 0.4467  4 Sb 2.87-2.92
In 0.7177 0.0698 0.1134  1 Ge 2.68, 3 Sb 2.85-2.91
In 0.8803 0.4008 0.1398  4 Sb 2.91-2.96
In 0.8858 0.3613 0.4367  4 Sb 2.90-2.94
In 0.8901 0.4041 0.7775  4 Sb 2.90-2.95
Ge 0.5466 0.2201 0.1080  1 In 2.68, 3 Sb 2.70-2.76
Sb 0.0053 0.3431 0.9824  1 Sb 2.88, 2 In 2.93-2.95
Sb 0.0059 0.6630 0.8472  2 Sb 2.84-2.87, 1 In 2.94
Sb 0.0477 0.7294 0.0872  3 Sb 2.82-2.88
Sb 0.2111 0.5635 0.1330  3 Sb 2.82-2.88
Sb 0.2529 0.6301 0.3732  2 Sb 2.84-2.87, 1 In 2.95
Sb 0.2529 0.9506 0.2377  1 Sb 2.88, 2 In 2.92-2.95
Sb 0.2623 0.6390 0.8821  2 Sb 2.84-2.90, 1 In 2.95
Sb 0.2654 0.6649 0.6804  2 Sb 2.86-2.90, 1 In 2.92
Sb 0.3020 0.0541 0.6255  3 In 2.87-2.90
Sb 0.3073 0.0707 0.9765  1 Ge 2.70, 2 In 2.92-2.95
Sb 0.5133 0.2307 0.4336  1 In 2.88, 2 Sb 2.90-2.93
Sb 0.5999 0.3751 0.0201  1 Ge 2.74, 2 In 2.91-2.94
Sb 0.6108 0.3773 0.3435  1 Ge 2.76, 1 Sb 2.93, 1 In 2.94
Sb 0.6127 0.3905 0.6872  1 Sb 2.90, 2 In 2.90-2.95
Sb 0.6438 0.9078 0.8630  1 Sb 2.89, 2 In 2.91
Sb 0.6471 0.9035 0.5332  1 Sb 2.87, 2 In 2.90-2.92
Sb 0.6551 0.9079 0.2049  3 In 2.88-2.90
Sb 0.7461 0.0612 0.7845  2 Sb 2.87-2.89, 1 In 2.88
Sb 0.9561 0.2394 0.5939  3 In 2.87-2.90
Sb 0.9666 0.2340 0.2529  3 In 2.85-2.92
Sb 0.9921 0.6298 0.5398  2 Sb 2.86-2.90, 1 In 2.93
Sb 0.9969 0.6560 0.3388  2 Sb 2.84-2.90, 1 In 2.96

Entry 4:
A relaxed TmCu2Ge2 crystal, computed with PBE.

Unit cell a=4.1237 b=4.1237 c=10.0852 alpha=90.00 beta=90.00 gamma=90.00
Closest atoms and distances in Å follow each position.
Positions (direct):
Tm 0.0000 0.0000 0.0000  8 Cu 3.14, 8 Ge 3.26
Tm 0.5000 0.5000 0.5000  8 Cu 3.14, 8 Ge 3.26
Cu 0.0000 0.0000 0.3845  1 Cu 2.33, 4 Ge 2.47
Cu 0.0000 0.0000 0.6155  1 Cu 2.33, 4 Ge 2.47
Cu 0.5000 0.5000 0.1155  1 Cu 2.33, 4 Ge 2.47
Cu 0.5000 0.5000 0.8845  1 Cu 2.33, 4 Ge 2.47
Ge 0.0000 0.5000 0.2500  4 Cu 2.47
Ge 0.0000 0.5000 0.7500  4 Cu 2.47
Ge 0.5000 0.0000 0.2500  4 Cu 2.47
Ge 0.5000 0.0000 0.7500  4 Cu 2.47

Entry 5:
A relaxed Y6RhI10 crystal, computed with PBE.

Unit cell a=7.7143 b=9.6869 c=9.7964 alpha=107.40 beta=97.10 gamma=104.80
Closest atoms and distances in Å follow each position.
Positions (direct):
Y 0.0298 0.2204 0.4177  1 Rh 2.66
Y 0.1141 0.5411 0.2576  1 Rh 2.73
Y 0.3538 0.6282 0.6677  1 Rh 2.76, 1 I 3.02
Y 0.6462 0.3718 0.3323  1 Rh 2.76, 1 I 3.02
Y 0.8859 0.4589 0.7424  1 Rh 2.73
Y 0.9702 0.7796 0.5823  1 Rh 2.66
Rh 0.0000 0.5000 0.5000  6 Y 2.66-2.76
I 0.0864 0.8722 0.3215  3 Y 3.11-3.38
I 0.2143 0.2392 0.1520  3 Y 3.12-3.30
I 0.2629 0.5897 0.9653  3 Y 3.12-3.33
I 0.3546 0.9548 0.7746  2 Y 3.02-3.06
I 0.4519 0.3170 0.5917  4 Y 3.19-3.24
I 0.5481 0.6830 0.4083  4 Y 3.19-3.24
I 0.6454 0.0452 0.2254  2 Y 3.02-3.06
I 0.7371 0.4103 0.0347  3 Y 3.12-3.33
I 0.7857 0.7608 0.8480  3 Y 3.12-3.30
I 0.9136 0.1278 0.6785  3 Y 3.11-3.38

Entry 6:
A relaxed Y3ReB7 crystal, computed with PBE.

The value obtained for the energy relative to the lowest polymorph listed for this composition is 0.2735 eV per atom.

Unit cell a=7.7629 b=7.7629 c=10.0809 alpha=90.00 beta=90.00 gamma=152.62
Closest atoms and distances in Å follow each position.
Positions (direct):
Y 0.0275 0.9725 0.7500  14 B 2.59-2.89
Y 0.1657 0.8343 0.0572  8 B 2.57-2.87
Y 0.1657 0.8343 0.4428  8 B 2.57-2.87
Y 0.8343 0.1657 0.5572  8 B 2.57-2.87
Y 0.8343 0.1657 0.9428  8 B 2.57-2.87
Y 0.9725 0.0275 0.2500  14 B 2.59-2.89
Re 0.2233 0.7767 0.7500  5 B 2.29-2.35
Re 0.7767 0.2233 0.2500  5 B 2.29-2.35
B 0.3455 0.6545 0.1605  2 B 1.80-1.91
B 0.3455 0.6545 0.3395  2 B 1.80-1.91
B 0.3793 0.6207 0.7500  2 B 1.69
B 0.4468 0.5532 0.6157  3 B 1.68-1.71
B 0.4468 0.5532 0.8843  3 B 1.68-1.71
B 0.4500 0.5500 0.0541  3 B 1.68-1.86
B 0.4500 0.5500 0.4459  3 B 1.68-1.86
B 0.5500 0.4500 0.5541  3 B 1.68-1.86
B 0.5500 0.4500 0.9459  3 B 1.68-1.86
B 0.5532 0.4468 0.1157  3 B 1.68-1.71
B 0.5532 0.4468 0.3843  3 B 1.68-1.71
B 0.6207 0.3793 0.2500  2 B 1.69
B 0.6545 0.3455 0.6605  2 B 1.80-1.91
B 0.6545 0.3455 0.8395  2 B 1.80-1.91

Entry 7:
A relaxed SiO2 crystal, computed with PBE.

Unit cell a=8.1911 b=8.1911 c=14.1631 alpha=90.00 beta=90.00 gamma=101.98
Closest atoms and distances in Å follow each position.
Positions (direct):
Si 0.0634 0.1603 0.0663  4 O 1.61-1.66
Si 0.0874 0.9126 0.7500  4 O 1.63-1.66
Si 0.1603 0.0634 0.5663  4 O 1.61-1.66
Si 0.2500 0.7500 0.6134  4 O 1.64-1.65
Si 0.2500 0.7500 0.8866  4 O 1.64-1.65
Si 0.3397 0.4366 0.5663  4 O 1.61-1.66
Si 0.4126 0.5874 0.7500  4 O 1.63-1.66
Si 0.4366 0.3397 0.0663  4 O 1.61-1.66
Si 0.5634 0.6603 0.9337  4 O 1.61-1.66
Si 0.5874 0.4126 0.2500  4 O 1.63-1.66
Si 0.6603 0.5634 0.4337  4 O 1.61-1.66
Si 0.7500 0.2500 0.1134  4 O 1.64-1.65
Si 0.7500 0.2500 0.3866  4 O 1.64-1.65
Si 0.8397 0.9366 0.4337  4 O 1.61-1.66
Si 0.9126 0.0874 0.2500  4 O 1.63-1.66
Si 0.9366 0.8397 0.9337  4 O 1.61-1.66
O 0.0000 0.0000 0.0000  2 Si 1.61
O 0.0000 0.0000 0.5000  2 Si 1.61
O 0.0718 0.1093 0.1791  2 Si 1.63-1.66
O 0.0740 0.7180 0.9459  2 Si 1.64-1.66
O 0.0836 0.7504 0.6786  2 Si 1.65-1.66
O 0.1092 0.0718 0.6791  2 Si 1.63-1.66
O 0.2180 0.5740 0.5541  2 Si 1.64-1.66
O 0.2500 0.2500 0.0330  2 Si 1.62
O 0.2500 0.2500 0.5330  2 Si 1.62
O 0.2504 0.5836 0.8214  2 Si 1.65-1.66
O 0.2496 0.9164 0.8214  2 Si 1.65-1.66
O 0.2820 0.9260 0.5541  2 Si 1.64-1.66
O 0.3907 0.4282 0.6791  2 Si 1.63-1.66
O 0.4164 0.7496 0.6786  2 Si 1.65-1.66
O 0.4260 0.7820 0.9459  2 Si 1.64-1.66
O 0.4282 0.3908 0.1791  2 Si 1.63-1.66
O 0.5000 0.5000 0.0000  2 Si 1.61
O 0.5000 0.5000 0.5000  2 Si 1.61
O 0.5718 0.6093 0.8209  2 Si 1.63-1.66
O 0.5740 0.2180 0.0541  2 Si 1.64-1.66
O 0.5836 0.2504 0.3214  2 Si 1.65-1.66
O 0.6093 0.5718 0.3209  2 Si 1.63-1.66
O 0.7180 0.0740 0.4459  2 Si 1.64-1.66
O 0.7504 0.0836 0.1786  2 Si 1.65-1.66
O 0.7496 0.4164 0.1786  2 Si 1.65-1.66
O 0.7500 0.7500 0.4670  2 Si 1.62
O 0.7500 0.7500 0.9670  2 Si 1.62
O 0.7820 0.4260 0.4459  2 Si 1.64-1.66
O 0.8907 0.9282 0.3209  2 Si 1.63-1.66
O 0.9164 0.2496 0.3214  2 Si 1.65-1.66
O 0.9260 0.2820 0.0541  2 Si 1.64-1.66
O 0.9282 0.8907 0.8209  2 Si 1.63-1.66

Entry 8:
A relaxed Mg6MnZn crystal, computed with PBE.

The value obtained for the energy relative to the lowest polymorph listed for this composition is 0.0000 eV per atom.

Unit cell a=4.9196 b=6.1558 c=10.6710 alpha=90.00 beta=90.00 gamma=90.00
Closest atoms and distances in Å follow each position.
Positions (direct):
Mg 0.0000 0.2558 0.0856  2 Mn 3.01-3.15, 8 Mg 3.01-3.15, 2 Zn 3.03
Mg 0.0000 0.7442 0.0856  2 Mn 3.01-3.15, 8 Mg 3.01-3.15, 2 Zn 3.03
Mg 0.0000 0.0000 0.3335  10 Mg 3.03-3.08, 2 Mn 3.08
Mg 0.5000 0.7431 0.4126  2 Zn 2.96-3.20, 8 Mg 2.99-3.16, 2 Mn 3.01
Mg 0.5000 0.2569 0.4126  2 Zn 2.96-3.20, 8 Mg 2.99-3.16, 2 Mn 3.01
Mg 0.5000 0.0000 0.1672  10 Mg 3.03-3.10, 2 Zn 3.08
Mg 0.0000 0.7558 0.5856  2 Mn 3.01-3.15, 8 Mg 3.01-3.15, 2 Zn 3.03
Mg 0.0000 0.2442 0.5856  2 Mn 3.01-3.15, 8 Mg 3.01-3.15, 2 Zn 3.03
Mg 0.0000 0.5000 0.8335  10 Mg 3.03-3.08, 2 Mn 3.08
Mg 0.5000 0.2431 0.9126  2 Zn 2.96-3.20, 8 Mg 2.99-3.16, 2 Mn 3.01
Mg 0.5000 0.7569 0.9126  2 Zn 2.96-3.20, 8 Mg 2.99-3.16, 2 Mn 3.01
Mg 0.5000 0.5000 0.6672  10 Mg 3.03-3.10, 2 Zn 3.08
Mn 0.0000 0.5000 0.3295  2 Zn 2.97, 10 Mg 3.01-3.15
Mn 0.0000 0.0000 0.8295  2 Zn 2.97, 10 Mg 3.01-3.15
Zn 0.5000 0.5000 0.1735  10 Mg 2.96-3.20, 2 Mn 2.97
Zn 0.5000 0.0000 0.6735  10 Mg 2.96-3.20, 2 Mn 2.97

Which energy belongs to each record? In order, -4.18 -3.43 -3.42 -4.70 -4.87 -7.48 -7.81 -2.42 eV per atom.
Which energy of formation from the pure elements belongs to each record? In order, -16.5 -21.8 -14.3 -1.6 -25.1 -3.7 -9.5 0.7 eV per formula unit.